Record 1
# PBE MgMn2N2, optimized geometry
data_MgMn2N2
_cell_length_a 3.616
_cell_length_b 3.616
_cell_length_c 5.097
_cell_angle_alpha 90.00
_cell_angle_beta 90.00
_cell_angle_gamma 90.00
_symmetry_space_group_name_H-M 'P 1'
_symmetry_Int_Tables_number 1
loop_
_symmetry_equiv_pos_as_xyz
'x,y,z'
loop_
_atom_site_label
_atom_site_type_symbol
_atom_site_fract_x
_atom_site_fract_y
_atom_site_fract_z
Mg1 Mg 0.000 0.000 0.000
Mn1 Mn 0.500 0.500 0.254
Mn2 Mn 0.500 0.500 0.746
N1 N 0.000 0.500 0.748
N2 N 0.500 0.000 0.252
# Raw total energy ... -36.11 eV per cell
# Energy relative to the elements ... -0.047 eV/atom
# Crystal system ... tetragonal
# Symmetry ... No. 115
# Spin magnetization ... 4.8 μB per formula unit

=====

Record 2
# PBE Mg14MnNb, optimized geometry
data_Mg14MnNb
_cell_length_a 10.027
_cell_length_b 6.335
_cell_length_c 6.335
_cell_angle_alpha 58.86
_cell_angle_beta 90.00
_cell_angle_gamma 90.00
_symmetry_space_group_name_H-M 'P 1'
_symmetry_Int_Tables_number 1
loop_
_symmetry_equiv_pos_as_xyz
'x,y,z'
loop_
_atom_site_label
_atom_site_type_symbol
_atom_site_fract_x
_atom_site_fract_y
_atom_site_fract_z
Mg1 Mg 0.000 0.000 0.000
Mg2 Mg 0.000 0.001 0.501
Mg3 Mg 0.000 0.500 0.500
Mg4 Mg 0.000 0.501 0.001
Mg5 Mg 0.254 0.163 0.163
Mg6 Mg 0.256 0.663 0.663
Mg7 Mg 0.259 0.168 0.671
Mg8 Mg 0.259 0.671 0.168
Mg9 Mg 0.500 0.004 0.499
Mg10 Mg 0.500 0.499 0.004
Mg11 Mg 0.741 0.168 0.671
Mg12 Mg 0.741 0.671 0.168
Mg13 Mg 0.744 0.663 0.663
Mg14 Mg 0.746 0.163 0.163
Mn1 Mn 0.500 0.499 0.499
Nb1 Nb 0.500 0.005 0.005
# Raw total energy ... -39.83 eV per cell
# Energy relative to the elements ... 0.115 eV/atom
# Crystal system ... orthorhombic
# Symmetry ... No. 38
# Spin magnetization ... 3.3 μB per formula unit
# E above lowest polymorph ... 0.000 eV/atom

=====

Record 3
# PBE Mg14MnNb, optimized geometry
data_Mg14MnNb
_cell_length_a 6.313
_cell_length_b 6.313
_cell_length_c 9.980
_cell_angle_alpha 90.00
_cell_angle_beta 90.00
_cell_angle_gamma 120.00
_symmetry_space_group_name_H-M 'P 1'
_symmetry_Int_Tables_number 1
loop_
_symmetry_equiv_pos_as_xyz
'x,y,z'
loop_
_atom_site_label
_atom_site_type_symbol
_atom_site_fract_x
_atom_site_fract_y
_atom_site_fract_z
Mg1 Mg 0.000 0.000 0.248
Mg2 Mg 0.000 0.000 0.752
Mg3 Mg 0.012 0.506 0.249
Mg4 Mg 0.012 0.506 0.751
Mg5 Mg 0.333 0.167 0.500
Mg6 Mg 0.337 0.168 0.000
Mg7 Mg 0.494 0.506 0.249
Mg8 Mg 0.494 0.506 0.751
Mg9 Mg 0.494 0.988 0.249
Mg10 Mg 0.494 0.988 0.751
Mg11 Mg 0.832 0.168 0.000
Mg12 Mg 0.832 0.663 0.000
Mg13 Mg 0.833 0.167 0.500
Mg14 Mg 0.833 0.667 0.500
Mn1 Mn 0.333 0.667 0.500
Nb1 Nb 0.333 0.667 0.000
# Raw total energy ... -39.60 eV per cell
# Energy relative to the elements ... 0.129 eV/atom
# Crystal system ... hexagonal
# Symmetry ... No. 187
# Spin magnetization ... 4.2 μB per formula unit
# E above lowest polymorph ... 0.014 eV/atom

=====

Record 4
# PBE Mg6MnNb, optimized geometry
data_Mg6MnNb
_cell_length_a 4.935
_cell_length_b 5.986
_cell_length_c 10.982
_cell_angle_alpha 90.00
_cell_angle_beta 90.00
_cell_angle_gamma 90.00
_symmetry_space_group_name_H-M 'P 1'
_symmetry_Int_Tables_number 1
loop_
_symmetry_equiv_pos_as_xyz
'x,y,z'
loop_
_atom_site_label
_atom_site_type_symbol
_atom_site_fract_x
_atom_site_fract_y
_atom_site_fract_z
Mg1 Mg 0.500 0.251 0.421
Mg2 Mg 0.500 0.749 0.421
Mg3 Mg 0.000 0.747 0.087
Mg4 Mg 0.000 0.253 0.087
Mg5 Mg 0.000 0.000 0.321
Mg6 Mg 0.000 0.500 0.325
Mg7 Mg 0.500 0.751 0.921
Mg8 Mg 0.500 0.249 0.921
Mg9 Mg 0.000 0.247 0.587
Mg10 Mg 0.000 0.753 0.587
Mg11 Mg 0.000 0.500 0.821
Mg12 Mg 0.000 0.000 0.825
Mn1 Mn 0.500 0.000 0.164
Mn2 Mn 0.500 0.500 0.664
Nb1 Nb 0.500 0.500 0.173
Nb2 Nb 0.500 0.000 0.673
# Raw total energy ... -53.91 eV per cell
# Energy relative to the elements ... 0.239 eV/atom
# Spin magnetization ... 2.5 μB per formula unit
# E above lowest polymorph ... 0.048 eV/atom

=====

Record 5
# PBE Mg6MnNb, optimized geometry
data_Mg6MnNb
_cell_length_a 4.827
_cell_length_b 6.047
_cell_length_c 11.066
_cell_angle_alpha 90.00
_cell_angle_beta 90.00
_cell_angle_gamma 90.00
_symmetry_space_group_name_H-M 'P 1'
_symmetry_Int_Tables_number 1
loop_
_symmetry_equiv_pos_as_xyz
'x,y,z'
loop_
_atom_site_label
_atom_site_type_symbol
_atom_site_fract_x
_atom_site_fract_y
_atom_site_fract_z
Mg1 Mg 0.000 0.259 0.080
Mg2 Mg 0.000 0.741 0.080
Mg3 Mg 0.000 0.000 0.328
Mg4 Mg 0.500 0.742 0.424
Mg5 Mg 0.500 0.258 0.424
Mg6 Mg 0.500 0.000 0.169
Mg7 Mg 0.000 0.759 0.580
Mg8 Mg 0.000 0.241 0.580
Mg9 Mg 0.000 0.500 0.828
Mg10 Mg 0.500 0.242 0.924
Mg11 Mg 0.500 0.758 0.924
Mg12 Mg 0.500 0.500 0.669
Mn1 Mn 0.000 0.500 0.306
Mn2 Mn 0.000 0.000 0.806
Nb1 Nb 0.500 0.500 0.190
Nb2 Nb 0.500 0.000 0.690
# Raw total energy ... -54.67 eV per cell
# Energy relative to the elements ... 0.191 eV/atom
# Spin magnetization ... 2.5 μB per formula unit
# E above lowest polymorph ... 0.000 eV/atom

=====

Record 6
# PBE Mg6MnNi, optimized geometry
data_Mg6MnNi
_cell_length_a 4.798
_cell_length_b 6.032
_cell_length_c 10.465
_cell_angle_alpha 90.00
_cell_angle_beta 90.00
_cell_angle_gamma 90.00
_symmetry_space_group_name_H-M 'P 1'
_symmetry_Int_Tables_number 1
loop_
_symmetry_equiv_pos_as_xyz
'x,y,z'
loop_
_atom_site_label
_atom_site_type_symbol
_atom_site_fract_x
_atom_site_fract_y
_atom_site_fract_z
Mg1 Mg 0.000 0.263 0.088
Mg2 Mg 0.000 0.737 0.088
Mg3 Mg 0.000 0.000 0.335
Mg4 Mg 0.500 0.741 0.410
Mg5 Mg 0.500 0.259 0.410
Mg6 Mg 0.500 0.000 0.164
Mg7 Mg 0.000 0.763 0.588
Mg8 Mg 0.000 0.237 0.588
Mg9 Mg 0.000 0.500 0.835
Mg10 Mg 0.500 0.241 0.910
Mg11 Mg 0.500 0.759 0.910
Mg12 Mg 0.500 0.500 0.664
Mn1 Mn 0.000 0.500 0.323
Mn2 Mn 0.000 0.000 0.823
Ni1 Ni 0.500 0.500 0.181
Ni2 Ni 0.500 0.000 0.681
# Raw total energy ... -47.30 eV per cell
# Energy relative to the elements ... 0.112 eV/atom
# Spin magnetization ... 3.9 μB per formula unit
# E above lowest polymorph ... 0.000 eV/atom

=====

Record 7
# PBE Mg3MnNi2, optimized geometry
data_Mg3MnNi2
_cell_length_a 8.095
_cell_length_b 8.095
_cell_length_c 8.095
_cell_angle_alpha 60.00
_cell_angle_beta 60.00
_cell_angle_gamma 60.00
_symmetry_space_group_name_H-M 'P 1'
_symmetry_Int_Tables_number 1
loop_
_symmetry_equiv_pos_as_xyz
'x,y,z'
loop_
_atom_site_label
_atom_site_type_symbol
_atom_site_fract_x
_atom_site_fract_y
_atom_site_fract_z
Mg1 Mg 0.074 0.074 0.676
Mg2 Mg 0.074 0.676 0.074
Mg3 Mg 0.074 0.676 0.676
Mg4 Mg 0.324 0.324 0.926
Mg5 Mg 0.324 0.926 0.324
Mg6 Mg 0.324 0.926 0.926
Mg7 Mg 0.676 0.074 0.074
Mg8 Mg 0.676 0.074 0.676
Mg9 Mg 0.676 0.676 0.074
Mg10 Mg 0.926 0.324 0.324
Mg11 Mg 0.926 0.324 0.926
Mg12 Mg 0.926 0.926 0.324
Mn1 Mn 0.000 0.500 0.500
Mn2 Mn 0.500 0.000 0.500
Mn3 Mn 0.500 0.500 0.000
Mn4 Mn 0.500 0.500 0.500
Ni1 Ni 0.295 0.295 0.295
Ni2 Ni 0.295 0.295 0.615
Ni3 Ni 0.295 0.615 0.295
Ni4 Ni 0.385 0.705 0.705
Ni5 Ni 0.615 0.295 0.295
Ni6 Ni 0.705 0.385 0.705
Ni7 Ni 0.705 0.705 0.385
Ni8 Ni 0.705 0.705 0.705
# Raw total energy ... -105.74 eV per cell
# Energy relative to the elements ... -0.152 eV/atom
# Crystal system ... cubic
# Symmetry ... No. 227
# Spin magnetization ... 3.3 μB per formula unit

=====

Record 8
# PBE Mg6MnNi, optimized geometry
data_Mg6MnNi
_cell_length_a 4.789
_cell_length_b 6.047
_cell_length_c 10.418
_cell_angle_alpha 90.00
_cell_angle_beta 90.00
_cell_angle_gamma 90.00
_symmetry_space_group_name_H-M 'P 1'
_symmetry_Int_Tables_number 1
loop_
_symmetry_equiv_pos_as_xyz
'x,y,z'
loop_
_atom_site_label
_atom_site_type_symbol
_atom_site_fract_x
_atom_site_fract_y
_atom_site_fract_z
Mg1 Mg 0.500 0.749 0.084
Mg2 Mg 0.500 0.251 0.084
Mg3 Mg 0.000 0.745 0.911
Mg4 Mg 0.000 0.255 0.911
Mg5 Mg 0.000 0.500 0.171
Mg6 Mg 0.000 0.500 0.674
Mg7 Mg 0.500 0.249 0.584
Mg8 Mg 0.500 0.751 0.584
Mg9 Mg 0.000 0.245 0.411
Mg10 Mg 0.000 0.755 0.411
Mg11 Mg 0.000 0.000 0.671
Mg12 Mg 0.000 0.000 0.174
Mn1 Mn 0.500 0.500 0.333
Mn2 Mn 0.500 0.000 0.833
Ni1 Ni 0.500 0.500 0.833
Ni2 Ni 0.500 0.000 0.333
# Raw total energy ... -47.20 eV per cell
# Energy relative to the elements ... 0.118 eV/atom
# Spin magnetization ... 3.8 μB per formula unit
# E above lowest polymorph ... 0.006 eV/atom

=====

Record 9
# PBE Mg2MnNi3S8, optimized geometry
data_Mg2MnNi3S8
_cell_length_a 7.017
_cell_length_b 7.017
_cell_length_c 7.034
_cell_angle_alpha 120.01
_cell_angle_beta 120.01
_cell_angle_gamma 60.01
_symmetry_space_group_name_H-M 'P 1'
_symmetry_Int_Tables_number 1
loop_
_symmetry_equiv_pos_as_xyz
'x,y,z'
loop_
_atom_site_label
_atom_site_type_symbol
_atom_site_fract_x
_atom_site_fract_y
_atom_site_fract_z
Mg1 Mg 0.126 0.126 0.378
Mg2 Mg 0.874 0.874 0.622
Mn1 Mn 0.500 0.500 0.500
Ni1 Ni 0.000 0.500 0.000
Ni2 Ni 0.500 0.000 0.000
Ni3 Ni 0.500 0.500 0.000
S1 S 0.268 0.268 0.237
S2 S 0.268 0.268 0.804
S3 S 0.268 0.701 0.238
S4 S 0.299 0.732 0.762
S5 S 0.701 0.268 0.238
S6 S 0.732 0.299 0.762
S7 S 0.732 0.732 0.196
S8 S 0.732 0.732 0.763
# Raw total energy ... -70.11 eV per cell
# Energy relative to the elements ... -0.810 eV/atom
# Crystal system ... monoclinic
# Symmetry ... No. 12
# Spin magnetization ... 0.2 μB per formula unit

=====

> What is the spin magnetization in the fifth record?

2.5 μB per formula unit

=====

> Which formula does entry 1 have?

MgMn2N2

=====

> What is the spin magnetization in the seventh record?

3.3 μB per formula unit